Record 1
First-principles (PBE) data for Mg3Si4 after structural relaxation, as listed in Materials Project.

Geometry as POSCAR:
```
Mg3Si4
1.0
3.6135 0.0000 0.0000
0.6454 7.7201 0.0000
0.8864 1.7631 9.9678
Mg Si
6 8
Direct
0.0000 0.0000 0.0000 Mg
0.0222 0.4540 0.2456 Mg
0.0716 0.6321 0.9530 Mg
0.2240 0.6162 0.6552 Mg
0.4809 0.0852 0.2313 Mg
0.7145 0.9645 0.7367 Mg
0.0008 0.2839 0.6271 Si
0.2236 0.3171 0.8556 Si
0.4623 0.9172 0.5033 Si
0.4727 0.7578 0.1393 Si
0.4953 0.6859 0.3773 Si
0.5175 0.3841 0.4753 Si
0.6824 0.3302 0.0096 Si
0.9459 0.1174 0.4339 Si
```

Record 2
First-principles (PBE) data for Mg4Si7 after structural relaxation, as listed in Materials Project.

Geometry as POSCAR:
```
Mg4Si7
1.0
4.2948 0.0000 0.0000
-0.2860 6.7857 0.0000
-0.4816 -0.7114 13.4736
Mg Si
8 14
Direct
0.0000 0.0000 0.0000 Mg
0.0156 0.6624 0.1897 Mg
0.0332 0.1317 0.2434 Mg
0.0498 0.5144 0.4138 Mg
0.0805 0.0296 0.4886 Mg
0.5468 0.8210 0.3367 Mg
0.5672 0.5827 0.7652 Mg
0.6338 0.0385 0.6778 Mg
0.0273 0.3928 0.0409 Si
0.0280 0.3143 0.8252 Si
0.0630 0.3575 0.6424 Si
0.0682 0.6381 0.9088 Si
0.0753 0.7182 0.6280 Si
0.1491 0.8937 0.7890 Si
0.5085 0.1590 0.8735 Si
0.5162 0.9078 0.1361 Si
0.5176 0.4319 0.2615 Si
0.5300 0.2615 0.0962 Si
0.5573 0.3747 0.5520 Si
0.5673 0.7314 0.5311 Si
0.5696 0.6429 0.0098 Si
0.5724 0.2077 0.3908 Si
```

Record 3
First-principles (PBE) data for Mg5Si6 after structural relaxation, as listed in Materials Project.

Geometry as POSCAR:
```
Mg5Si6
1.0
4.9275 0.0000 0.0000
1.0310 6.3903 0.0000
2.2900 0.2027 13.6568
Mg Si
10 12
Direct
0.0000 0.0000 0.0000 Mg
0.0048 0.5027 0.1059 Mg
0.2172 0.7207 0.5532 Mg
0.2694 0.5633 0.8738 Mg
0.3997 0.2236 0.6170 Mg
0.4694 0.2306 0.3799 Mg
0.4986 0.7505 0.0466 Mg
0.5576 0.7356 0.3359 Mg
0.5655 0.0571 0.8385 Mg
0.8710 0.4323 0.4737 Mg
0.0081 0.0404 0.3909 Si
0.0503 0.2366 0.7959 Si
0.0835 0.9296 0.2208 Si
0.1132 0.5826 0.2955 Si
0.1352 0.8701 0.7465 Si
0.4452 0.1897 0.0355 Si
0.4948 0.4110 0.1848 Si
0.5880 0.0360 0.1891 Si
0.6858 0.8852 0.5120 Si
0.7023 0.7924 0.6871 Si
0.7562 0.4027 0.9400 Si
0.8279 0.4209 0.6691 Si
```

Record 4
First-principles (PBE) data for Mg2Si3 after structural relaxation, as listed in Materials Project.

Geometry as POSCAR:
```
Mg2Si3
1.0
5.0228 -2.1953 0.0000
5.0228 2.1953 0.0000
-4.0334 0.0000 8.0349
Mg Si
4 6
Direct
0.1226 0.1226 0.3779 Mg
0.1556 0.1556 0.0262 Mg
0.8444 0.8444 0.9738 Mg
0.8774 0.8774 0.6221 Mg
0.2108 0.2108 0.7146 Si
0.4097 0.4097 0.3540 Si
0.4823 0.4823 0.8433 Si
0.5177 0.5177 0.1567 Si
0.5903 0.5903 0.6460 Si
0.7892 0.7892 0.2854 Si
```

Record 5
First-principles (PBE) data for Mg2Si3 after structural relaxation, as listed in Materials Project.

Geometry as POSCAR:
```
Mg2Si3
1.0
4.5156 0.0000 0.0000
-1.9317 4.8734 0.0000
-1.6750 -1.4935 16.9212
Mg Si
8 12
Direct
0.0131 0.3947 0.2836 Mg
0.0566 0.6469 0.9050 Mg
0.3466 0.1779 0.5878 Mg
0.3551 0.2050 0.7995 Mg
0.6449 0.7950 0.2005 Mg
0.6534 0.8221 0.4122 Mg
0.9434 0.3531 0.0950 Mg
0.9869 0.6053 0.7164 Mg
0.0793 0.5922 0.5636 Si
0.2186 0.9491 0.2963 Si
0.2316 0.9206 0.0739 Si
0.3261 0.2250 0.4192 Si
0.3628 0.2557 0.9748 Si
0.4273 0.2374 0.1909 Si
0.5727 0.7626 0.8091 Si
0.6372 0.7443 0.0252 Si
0.6739 0.7750 0.5808 Si
0.7684 0.0794 0.9261 Si
0.7814 0.0509 0.7037 Si
0.9207 0.4078 0.4364 Si
```

Record 6
First-principles (PBE) data for Mg2Si3 after structural relaxation, as listed in Materials Project.

Geometry as POSCAR:
```
Mg2Si3
1.0
4.6606 -2.2897 0.0000
4.6606 2.2897 0.0000
-2.0346 0.0000 8.0534
Mg Si
4 6
Direct
0.0481 0.0481 0.3431 Mg
0.1684 0.1684 0.0395 Mg
0.8316 0.8316 0.9605 Mg
0.9519 0.9519 0.6569 Mg
0.2717 0.2717 0.6777 Si
0.3688 0.3688 0.4126 Si
0.4797 0.4797 0.1436 Si
0.5203 0.5203 0.8564 Si
0.6312 0.6312 0.5874 Si
0.7283 0.7283 0.3223 Si
```

Record 7
First-principles (PBE) data for Mg4Si3 after structural relaxation, as listed in Materials Project.

Geometry as POSCAR:
```
Mg4Si3
1.0
5.8598 0.0000 0.0000
2.2773 7.2989 0.0000
1.3302 0.8410 12.4225
Mg Si
16 12
Direct
0.0000 0.0000 0.0000 Mg
0.0025 0.3228 0.2226 Mg
0.0740 0.6612 0.3854 Mg
0.1331 0.8508 0.5835 Mg
0.1591 0.1345 0.7720 Mg
0.3328 0.4723 0.7593 Mg
0.3903 0.9958 0.1386 Mg
0.4733 0.3157 0.3222 Mg
0.5823 0.6944 0.3027 Mg
0.5852 0.3171 0.0826 Mg
0.6199 0.8507 0.5163 Mg
0.6670 0.1448 0.6507 Mg
0.7585 0.4714 0.8756 Mg
0.7901 0.6603 0.0702 Mg
0.8767 0.5072 0.6393 Mg
0.9381 0.8133 0.8137 Mg
0.1685 0.3086 0.9897 Si
0.2224 0.2248 0.5304 Si
0.2420 0.6690 0.1709 Si
0.2589 0.6095 0.9805 Si
0.2807 0.0273 0.3756 Si
0.4190 0.4788 0.5323 Si
0.4824 0.8671 0.9153 Si
0.4860 0.7805 0.7338 Si
0.5947 0.1575 0.8822 Si
0.8245 0.4051 0.4386 Si
0.8538 0.9305 0.2092 Si
0.8680 0.0479 0.3862 Si
```

Record 8
First-principles (PBE) data for Mg4Si3 after structural relaxation, as listed in Materials Project.

Geometry as POSCAR:
```
Mg4Si3
1.0
7.0002 0.0000 0.0000
-2.2632 6.6442 0.0000
-0.2599 -0.9667 11.5944
Mg Si
16 12
Direct
0.0000 0.0000 0.0000 Mg
0.0008 0.5464 0.4149 Mg
0.0324 0.2916 0.7867 Mg
0.2697 0.9633 0.5221 Mg
0.3125 0.3648 0.4221 Mg
0.3188 0.4253 0.0227 Mg
0.3229 0.6789 0.6967 Mg
0.3569 0.1359 0.1996 Mg
0.3673 0.1266 0.8197 Mg
0.3930 0.7408 0.2829 Mg
0.4411 0.8671 0.0025 Mg
0.6521 0.1721 0.4011 Mg
0.6674 0.5916 0.8471 Mg
0.6867 0.7390 0.5148 Mg
0.7696 0.3235 0.0127 Mg
0.9649 0.9319 0.3173 Mg
0.0566 0.3175 0.2068 Si
0.0689 0.6512 0.8992 Si
0.0809 0.6883 0.1205 Si
0.5145 0.3792 0.6333 Si
0.6440 0.0778 0.6424 Si
0.6501 0.5190 0.2948 Si
0.7003 0.9848 0.8321 Si
0.7086 0.6894 0.1163 Si
0.7196 0.0514 0.1787 Si
0.8921 0.5162 0.6385 Si
0.9668 0.1493 0.5383 Si
0.9948 0.8881 0.7116 Si
```

| no. | MP2020-corrected energy (eV per formula unit) | formation energy (eV per atom) | offset from the most stable computed form (eV/atom) |
| --- | --- | --- | --- |
| 1 | -24.91 | 0.23 | 0.134 |
| 2 | -42.49 | 0.17 | 0.026 |
| 3 | -38.74 | 0.16 | 0.099 |
| 4 | -18.83 | 0.13 | 0.050 |
| 5 | -18.83 | 0.13 | 0.050 |
| 6 | -18.59 | 0.18 | 0.099 |
| 7 | -21.84 | 0.12 | 0.115 |
| 8 | -21.87 | 0.12 | 0.112 |